First-principles (PBE-GGA) data for a relaxed KH3C2O4 crystal, as listed in Materials Project.

Structure (POSCAR):
```
KH3C2O4
1.0
7.554 0.000 0.000
0.000 7.637 0.000
0.000 0.000 17.956
K H C O
8 24 16 32
Cartesian
5.407 0.487 0.655
1.630 7.150 8.323
5.925 4.306 17.301
2.148 3.332 9.633
2.148 7.150 17.301
5.925 0.487 9.633
1.630 3.332 0.655
5.407 4.306 8.323
7.168 3.286 4.883
3.391 4.351 4.095
4.164 7.105 13.073
0.386 0.532 13.861
0.386 4.351 13.073
4.164 3.286 13.861
3.391 0.532 4.883
7.168 7.105 4.095
5.605 2.387 3.577
1.827 5.250 5.401
5.727 6.206 14.379
1.950 1.431 12.555
1.950 5.250 14.379
5.727 2.387 12.555
1.827 1.431 3.577
5.605 6.206 5.401
4.742 1.893 6.165
0.964 5.744 2.813
6.590 5.712 11.791
2.813 1.925 15.143
2.813 5.744 11.791
6.590 1.893 15.143
0.964 1.925 6.165
4.742 5.712 2.813
6.451 2.852 3.028
2.673 4.785 5.950
4.881 6.671 14.929
1.104 0.967 12.006
1.104 4.785 14.929
4.881 2.852 12.006
2.673 0.967 3.028
6.451 6.671 5.950
3.958 1.403 6.781
0.181 6.234 2.197
7.374 5.222 11.175
3.596 2.416 15.760
3.596 6.234 11.175
7.374 1.403 15.760
0.181 2.416 6.781
3.958 5.222 2.197
6.471 2.851 1.785
2.693 4.786 7.193
4.861 6.670 16.171
1.084 0.967 10.763
1.084 4.786 16.171
4.861 2.851 10.763
2.693 0.967 1.785
6.471 6.670 7.193
7.389 3.374 3.766
3.611 4.263 5.213
3.943 7.193 14.191
0.166 0.444 12.744
0.166 4.263 14.191
3.943 3.374 12.744
3.611 0.444 3.766
7.389 7.193 5.213
3.898 1.658 8.007
0.120 5.979 0.971
7.434 5.477 9.949
3.657 2.160 16.985
3.657 5.979 9.949
7.434 1.658 16.985
0.120 2.160 8.007
3.898 5.477 0.971
6.937 3.219 6.162
3.159 4.418 2.816
4.395 7.038 11.794
0.618 0.600 15.141
0.618 4.418 11.794
4.395 3.219 15.141
3.159 0.600 6.162
6.937 7.038 2.816
```

Output
**E**: -60.71 eV per formula unit
**Energy of formation**: -1.39 eV/atom
**Mass density**: 1.67 g/cm³
**Magnetic moment**: 0.0 μB/f.u.
**Crystal system**: orthorhombic
**Symmetry**: Pbca, No. 61


First-principles (PBE-GGA) data for a relaxed Eu2ScNbO7 crystal, as listed in Materials Project.

Structure (POSCAR):
```
Eu2ScNbO7
1.0
-3.717 3.778 5.309
3.717 -3.778 5.309
3.717 3.778 -5.309
Eu Sc Nb O
4 2 2 14
Cartesian
1.859 1.889 2.655
-1.859 1.889 2.655
0.000 0.000 5.309
3.717 0.000 0.000
1.859 1.889 -2.655
1.859 -1.889 2.655
0.000 0.000 0.000
0.000 3.778 0.000
3.717 1.889 1.361
0.000 1.889 3.948
0.000 1.889 0.723
0.000 1.889 6.928
2.248 -0.292 3.984
-2.248 4.069 3.984
1.470 3.486 -1.325
2.248 4.069 3.984
3.717 1.889 4.586
3.717 1.889 -1.618
1.470 4.069 1.325
5.965 -0.292 1.325
2.248 0.292 6.635
1.470 -0.292 1.325
```

Output
**E**: -103.86 eV per formula unit
**Energy of formation**: -3.37 eV/atom
**Mass density**: 6.17 g/cm³
**Magnetic moment**: 12.0 μB/f.u.
**Crystal system**: orthorhombic
**Symmetry**: Imma, No. 74


First-principles (PBE-GGA) data for a relaxed Mn3Te2Se crystal, as listed in Materials Project.

Structure (POSCAR):
```
Mn3Te2Se
1.0
-4.927 3.864 3.002
-1.390 6.354 -2.431
0.332 -6.795 -1.392
Mn Te Se
3 2 1
Cartesian
0.000 0.000 0.000
-4.105 6.640 0.372
-2.212 3.578 0.200
-1.598 1.509 -1.815
-4.387 1.914 0.994
-2.297 -1.466 0.805
```

Output
**E**: -38.02 eV per formula unit
**Energy of formation**: -0.20 eV/atom
**Mass density**: 6.07 g/cm³
**Magnetic moment**: 13.9 μB/f.u.
**Crystal system**: orthorhombic
**Symmetry**: Immm, No. 71


First-principles (PBE-GGA) data for a relaxed SrFe2S4 crystal, as listed in Materials Project.

Structure (POSCAR):
```
SrFe2S4
1.0
-4.875 -1.878 0.232
2.025 -6.297 -8.389
6.582 -15.460 13.193
Sr Fe S
8 16 32
Cartesian
2.656 -7.009 -0.900
3.291 -7.730 6.597
5.951 -14.747 5.704
1.866 -11.817 2.518
-2.438 -0.939 0.116
1.647 -3.869 3.302
4.935 -11.591 9.891
1.013 -3.149 -4.195
2.971 -7.363 2.849
5.636 -14.394 1.955
-0.095 -7.595 -4.534
0.540 -8.317 2.964
-1.112 -4.439 -0.329
3.193 -15.317 2.073
1.549 -11.458 -1.221
2.182 -12.177 6.257
3.829 -16.039 9.570
4.842 -19.196 5.366
2.343 -6.658 -4.633
-3.543 -5.393 -0.215
6.264 -15.099 9.438
-0.890 -12.395 -1.121
-0.254 -13.117 6.390
2.399 -20.118 5.484
-0.995 -7.778 4.361
-1.631 -7.056 -3.136
-0.996 -9.070 -5.802
-2.857 -3.686 -1.319
-1.797 -6.144 0.777
-0.365 -9.781 1.687
1.650 -14.795 3.466
-0.187 -10.694 -2.221
0.848 -13.156 -0.118
2.305 -16.789 0.791
0.436 -11.420 5.271
2.281 -15.506 10.955
1.495 -13.873 7.373
2.940 -17.511 8.288
3.104 -18.424 4.375
4.140 -20.891 6.472
1.640 -8.359 -3.533
0.606 -5.896 -5.637
-0.207 -2.974 0.947
0.424 -4.978 -1.727
1.225 -6.612 1.858
2.285 -9.070 3.953
2.449 -9.983 0.047
4.931 -16.088 3.063
5.574 -16.795 10.556
5.731 -17.723 6.648
3.084 -11.997 -2.618
3.895 -13.621 0.967
3.070 -10.704 7.539
4.516 -14.342 8.454
6.385 -19.718 3.972
3.729 -12.709 4.873
```

Output
**E**: -40.66 eV per formula unit
**Energy of formation**: -1.07 eV/atom
**ΔE to the lowest computed polymorph**: 0.015 eV/atom
**Mass density**: 3.65 g/cm³
**Magnetic moment**: 0.1 μB/f.u.
**Crystal system**: orthorhombic
**Symmetry**: Pban, No. 50